Density functional theory data (GGA+U) for crystalline V2NiO6 at its relaxed geometry.

Results
E_form = -47.57 kcal/mol of atoms
raw total energy = -497.1 eV/cell

Cell lengths 8.0673, 9.7166, 14.9124 Å; angles 90.00, 90.00, 90.00 degrees
Fractional positions:
V 0.3522 0.7280 0.3845
V 0.6478 0.2280 0.1155
V 0.1478 0.2720 0.8845
V 0.8522 0.7720 0.6155
V 0.6478 0.2720 0.6155
V 0.3522 0.7720 0.8845
V 0.8522 0.7280 0.1155
V 0.1478 0.2280 0.3845
V 0.9392 0.7997 0.3929
V 0.0608 0.2997 0.1071
V 0.5608 0.2003 0.8929
V 0.4392 0.7003 0.6071
V 0.0608 0.2003 0.6071
V 0.9392 0.7003 0.8929
V 0.4392 0.7997 0.1071
V 0.5608 0.2997 0.3929
Ni 0.3774 0.4772 0.2086
Ni 0.6226 0.9772 0.2914
Ni 0.1226 0.5228 0.7086
Ni 0.8774 0.0228 0.7914
Ni 0.6226 0.5228 0.7914
Ni 0.3774 0.0228 0.7086
Ni 0.8774 0.4772 0.2914
Ni 0.1226 0.9772 0.2086
O 0.5105 0.8357 0.3615
O 0.4895 0.3357 0.1385
O 0.9895 0.1643 0.8615
O 0.0105 0.6643 0.6385
O 0.4895 0.1643 0.6385
O 0.5105 0.6643 0.8615
O 0.0105 0.8357 0.1385
O 0.9895 0.3357 0.3615
O 0.3408 0.5990 0.3099
O 0.6592 0.0990 0.1901
O 0.1592 0.4010 0.8099
O 0.8408 0.9010 0.6901
O 0.6592 0.4010 0.6901
O 0.3408 0.9010 0.8099
O 0.8408 0.5990 0.1901
O 0.1592 0.0990 0.3099
O 0.8474 0.9026 0.3145
O 0.1526 0.4026 0.1855
O 0.6526 0.0974 0.8145
O 0.3474 0.5974 0.6855
O 0.1526 0.0974 0.6855
O 0.8474 0.5974 0.8145
O 0.3474 0.9026 0.1855
O 0.6526 0.4026 0.3145
O 0.8983 0.6323 0.3758
O 0.1017 0.1323 0.1242
O 0.6017 0.3677 0.8758
O 0.3983 0.8677 0.6242
O 0.1017 0.3677 0.6242
O 0.8983 0.8677 0.8758
O 0.3983 0.6323 0.1242
O 0.6017 0.1323 0.3758
O 0.1594 0.8232 0.3794
O 0.8406 0.3232 0.1206
O 0.3406 0.1768 0.8794
O 0.6594 0.6768 0.6206
O 0.8406 0.1768 0.6206
O 0.1594 0.6768 0.8794
O 0.6594 0.8232 0.1206
O 0.3406 0.3232 0.3794
O 0.3769 0.6539 0.4951
O 0.6231 0.1539 0.0049
O 0.1231 0.3461 0.9951
O 0.8769 0.8461 0.5049
O 0.6231 0.3461 0.5049
O 0.3769 0.8461 0.9951
O 0.8769 0.6539 0.0049
O 0.1231 0.1539 0.4951